#a
Al38O21 | PBE | optimized geometry

```
Al38O21
1.0
5.640 0.000 0.000
2.795 4.900 0.000
0.619 0.974 50.134
Al O
38 21
Direct
0.000 0.000 0.000 Al
0.000 0.499 0.000 Al
0.162 0.683 0.812 Al
0.166 0.171 0.953 Al
0.167 0.187 0.813 Al
0.167 0.672 0.953 Al
0.205 0.765 0.633 Al
0.212 0.566 0.526 Al
0.331 0.343 0.906 Al
0.331 0.843 0.906 Al
0.333 0.862 0.768 Al
0.335 0.161 0.617 Al
0.339 0.366 0.760 Al
0.450 0.016 0.709 Al
0.451 0.715 0.573 Al
0.482 0.487 0.677 Al
0.498 0.009 0.859 Al
0.498 0.509 0.859 Al
0.500 0.000 0.000 Al
0.500 0.500 0.000 Al
0.573 0.009 0.523 Al
0.598 0.726 0.468 Al
0.657 0.261 0.454 Al
0.661 0.182 0.813 Al
0.665 0.688 0.813 Al
0.666 0.671 0.953 Al
0.667 0.172 0.953 Al
0.789 0.299 0.620 Al
0.827 0.361 0.769 Al
0.831 0.343 0.906 Al
0.831 0.843 0.906 Al
0.834 0.868 0.762 Al
0.907 0.719 0.584 Al
0.924 0.211 0.509 Al
0.925 0.464 0.720 Al
0.939 0.945 0.692 Al
0.998 0.009 0.859 Al
0.998 0.509 0.859 Al
0.087 0.139 0.701 O
0.094 0.129 0.640 O
0.129 0.694 0.669 O
0.145 0.289 0.526 O
0.156 0.527 0.613 O
0.193 0.654 0.562 O
0.271 0.925 0.600 O
0.300 0.361 0.723 O
0.433 0.598 0.448 O
0.485 0.832 0.501 O
0.556 0.535 0.643 O
0.571 0.338 0.523 O
0.598 0.644 0.699 O
0.599 0.134 0.680 O
0.630 0.868 0.558 O
0.677 0.956 0.453 O
0.699 0.038 0.611 O
0.766 0.482 0.590 O
0.828 0.845 0.722 O
0.867 0.336 0.475 O
0.952 0.878 0.514 O
```

#b
Al38O21 | PBE | optimized geometry

```
Al38O21
1.0
5.613 0.000 0.000
-2.773 4.934 0.000
-0.743 -0.757 51.254
Al O
38 21
Direct
0.000 0.000 0.000 Al
0.000 0.500 0.000 Al
0.023 0.424 0.699 Al
0.108 0.318 0.768 Al
0.116 0.815 0.775 Al
0.142 0.318 0.909 Al
0.143 0.819 0.909 Al
0.200 0.699 0.640 Al
0.216 0.353 0.595 Al
0.269 0.998 0.480 Al
0.275 0.923 0.580 Al
0.289 0.142 0.819 Al
0.292 0.635 0.818 Al
0.306 0.659 0.535 Al
0.317 0.660 0.954 Al
0.321 0.162 0.954 Al
0.466 0.983 0.863 Al
0.467 0.479 0.864 Al
0.475 0.966 0.684 Al
0.500 0.002 0.000 Al
0.501 0.502 0.000 Al
0.506 0.410 0.727 Al
0.611 0.308 0.775 Al
0.616 0.822 0.768 Al
0.640 0.816 0.909 Al
0.644 0.318 0.909 Al
0.659 0.271 0.628 Al
0.739 0.085 0.468 Al
0.790 0.643 0.818 Al
0.793 0.136 0.818 Al
0.802 0.813 0.623 Al
0.813 0.519 0.512 Al
0.816 0.159 0.954 Al
0.820 0.662 0.954 Al
0.827 0.038 0.544 Al
0.948 0.935 0.715 Al
0.965 0.980 0.864 Al
0.968 0.483 0.863 Al
0.035 0.087 0.469 O
0.048 0.054 0.569 O
0.063 0.772 0.608 O
0.127 0.320 0.729 O
0.154 0.798 0.509 O
0.222 0.582 0.571 O
0.264 0.616 0.675 O
0.321 0.077 0.707 O
0.412 0.857 0.459 O
0.431 0.045 0.651 O
0.435 0.641 0.620 O
0.477 0.244 0.599 O
0.505 0.010 0.551 O
0.618 0.784 0.732 O
0.629 0.291 0.486 O
0.644 0.691 0.527 O
0.824 0.570 0.707 O
0.826 0.079 0.688 O
0.831 0.582 0.647 O
0.919 0.176 0.620 O
0.985 0.343 0.526 O
```

Computed energies relative to the best structure, in eV/atom: #a 0.007; #b 0.000

#a
Al3P2O16 | PBE | optimized geometry

```
Al3P2O16
1.0
7.787 0.000 0.000
-1.228 7.795 0.000
-2.821 -2.048 10.660
Al P O
6 4 32
Direct
0.067 0.344 0.293 Al
0.391 0.750 0.727 Al
0.418 0.853 0.282 Al
0.582 0.147 0.718 Al
0.609 0.250 0.273 Al
0.933 0.656 0.707 Al
0.326 0.439 0.121 P
0.362 0.178 0.448 P
0.638 0.822 0.552 P
0.674 0.561 0.879 P
0.019 0.675 0.396 O
0.124 0.606 0.345 O
0.152 0.653 0.649 O
0.167 0.726 0.788 O
0.183 0.352 0.181 O
0.185 0.251 0.411 O
0.197 0.825 0.155 O
0.254 0.409 0.980 O
0.256 0.098 0.920 O
0.258 0.084 0.811 O
0.319 0.983 0.386 O
0.380 0.639 0.181 O
0.418 0.204 0.592 O
0.452 0.983 0.776 O
0.488 0.720 0.598 O
0.500 0.365 0.164 O
0.500 0.635 0.836 O
0.512 0.280 0.402 O
0.548 0.017 0.224 O
0.582 0.796 0.408 O
0.620 0.361 0.819 O
0.681 0.017 0.614 O
0.742 0.916 0.189 O
0.744 0.902 0.080 O
0.746 0.591 0.020 O
0.803 0.175 0.845 O
0.815 0.749 0.589 O
0.817 0.648 0.819 O
0.833 0.274 0.212 O
0.848 0.347 0.351 O
0.876 0.394 0.655 O
0.981 0.325 0.604 O
```

#b
Al3P2O16 | PBE | optimized geometry

```
Al3P2O16
1.0
7.168 0.000 0.000
0.000 17.518 0.000
0.000 0.000 9.951
Al P O
12 8 64
Direct
0.137 0.018 0.230 Al
0.137 0.482 0.230 Al
0.154 0.250 0.788 Al
0.346 0.750 0.288 Al
0.363 0.518 0.730 Al
0.363 0.982 0.730 Al
0.637 0.018 0.270 Al
0.637 0.482 0.270 Al
0.654 0.250 0.712 Al
0.846 0.750 0.212 Al
0.863 0.518 0.770 Al
0.863 0.982 0.770 Al
0.110 0.089 0.931 P
0.110 0.411 0.931 P
0.390 0.589 0.431 P
0.390 0.911 0.431 P
0.610 0.089 0.569 P
0.610 0.411 0.569 P
0.890 0.589 0.069 P
0.890 0.911 0.069 P
0.077 0.570 0.138 O
0.077 0.930 0.138 O
0.084 0.081 0.085 O
0.084 0.419 0.085 O
0.098 0.176 0.647 O
0.098 0.324 0.647 O
0.101 0.750 0.235 O
0.107 0.526 0.703 O
0.107 0.974 0.703 O
0.170 0.171 0.905 O
0.170 0.329 0.905 O
0.214 0.119 0.298 O
0.214 0.381 0.298 O
0.237 0.532 0.382 O
0.237 0.968 0.382 O
0.248 0.250 0.240 O
0.252 0.750 0.740 O
0.263 0.032 0.882 O
0.263 0.468 0.882 O
0.286 0.619 0.798 O
0.286 0.881 0.798 O
0.330 0.671 0.405 O
0.330 0.829 0.405 O
0.393 0.026 0.203 O
0.393 0.474 0.203 O
0.399 0.250 0.735 O
0.402 0.676 0.147 O
0.402 0.824 0.147 O
0.416 0.581 0.585 O
0.416 0.919 0.585 O
0.423 0.070 0.638 O
0.423 0.430 0.638 O
0.577 0.570 0.362 O
0.577 0.930 0.362 O
0.584 0.081 0.415 O
0.584 0.419 0.415 O
0.598 0.176 0.853 O
0.598 0.324 0.853 O
0.601 0.750 0.265 O
0.607 0.526 0.797 O
0.607 0.974 0.797 O
0.670 0.171 0.595 O
0.670 0.329 0.595 O
0.714 0.119 0.202 O
0.714 0.381 0.202 O
0.737 0.532 0.118 O
0.737 0.968 0.118 O
0.748 0.250 0.260 O
0.752 0.750 0.760 O
0.763 0.032 0.618 O
0.763 0.468 0.618 O
0.786 0.619 0.702 O
0.786 0.881 0.702 O
0.830 0.671 0.095 O
0.830 0.829 0.095 O
0.893 0.026 0.297 O
0.893 0.474 0.297 O
0.899 0.250 0.765 O
0.902 0.676 0.353 O
0.902 0.824 0.353 O
0.916 0.581 0.915 O
0.916 0.919 0.915 O
0.923 0.070 0.862 O
0.923 0.430 0.862 O
```

Computed energies relative to the best structure, in eV/atom: #a 0.000; #b 0.035

#a
RbAlSi3O8 | PBE | optimized geometry

```
RbAlSi3O8
1.0
7.363 0.000 0.000
-1.790 7.578 0.000
-2.152 -3.521 6.971
Rb Al Si O
2 2 6 16
Direct
0.146 0.296 0.293 Rb
0.854 0.704 0.707 Rb
0.219 0.817 0.203 Al
0.781 0.183 0.797 Al
0.229 0.201 0.825 Si
0.343 0.604 0.847 Si
0.350 0.840 0.606 Si
0.650 0.160 0.394 Si
0.657 0.396 0.153 Si
0.771 0.799 0.175 Si
0.017 0.154 0.851 O
0.223 0.667 0.983 O
0.235 0.994 0.679 O
0.258 0.726 0.373 O
0.271 0.361 0.737 O
0.284 0.664 0.671 O
0.407 0.052 0.297 O
0.410 0.298 0.039 O
0.590 0.702 0.961 O
0.593 0.948 0.703 O
0.716 0.336 0.329 O
0.729 0.639 0.263 O
0.742 0.274 0.627 O
0.765 0.006 0.321 O
0.777 0.333 0.017 O
0.983 0.846 0.149 O
```

#b
RbAlSi3O8 | PBE | optimized geometry

```
RbAlSi3O8
1.0
4.468 -6.657 0.000
4.468 6.657 0.000
-3.136 0.000 6.514
Rb Al Si O
2 2 6 16
Direct
0.204 0.204 0.356 Rb
0.796 0.796 0.644 Rb
0.335 0.111 0.848 Al
0.889 0.665 0.152 Al
0.101 0.355 0.849 Si
0.292 0.693 0.278 Si
0.307 0.708 0.722 Si
0.645 0.899 0.151 Si
0.672 0.304 0.273 Si
0.696 0.328 0.727 Si
0.145 0.783 0.236 O
0.149 0.176 0.783 O
0.169 0.495 0.721 O
0.206 0.476 0.099 O
0.217 0.855 0.764 O
0.337 0.663 0.500 O
0.454 0.227 0.114 O
0.493 0.170 0.717 O
0.505 0.831 0.279 O
0.524 0.794 0.901 O
0.658 0.342 0.500 O
0.741 0.135 0.216 O
0.773 0.546 0.886 O
0.824 0.851 0.217 O
0.830 0.507 0.283 O
0.865 0.259 0.784 O
```

Computed energies relative to the best structure, in eV/atom: #a 0.000; #b 0.006

#a
AlSO10 | PBE | optimized geometry

```
AlSO10
1.0
8.214 0.000 0.000
0.000 11.083 0.000
-5.894 0.000 8.811
Al S O
4 4 40
Direct
0.129 0.024 0.185 Al
0.129 0.476 0.685 Al
0.871 0.524 0.315 Al
0.871 0.976 0.815 Al
0.097 0.696 0.244 S
0.097 0.804 0.744 S
0.903 0.196 0.256 S
0.903 0.304 0.756 S
0.063 0.699 0.096 O
0.063 0.801 0.596 O
0.076 0.664 0.791 O
0.076 0.836 0.291 O
0.087 0.149 0.265 O
0.087 0.351 0.765 O
0.097 0.010 0.000 O
0.097 0.490 0.500 O
0.247 0.597 0.813 O
0.247 0.903 0.313 O
0.273 0.643 0.368 O
0.273 0.857 0.868 O
0.330 0.122 0.785 O
0.330 0.378 0.285 O
0.338 0.099 0.675 O
0.338 0.401 0.175 O
0.403 0.106 0.244 O
0.403 0.394 0.744 O
0.454 0.645 0.136 O
0.454 0.855 0.636 O
0.546 0.145 0.364 O
0.546 0.355 0.864 O
0.597 0.606 0.256 O
0.597 0.894 0.756 O
0.662 0.599 0.825 O
0.662 0.901 0.325 O
0.670 0.622 0.715 O
0.670 0.878 0.215 O
0.727 0.143 0.132 O
0.727 0.357 0.632 O
0.753 0.097 0.687 O
0.753 0.403 0.187 O
0.903 0.510 0.500 O
0.903 0.990 0.000 O
0.913 0.649 0.235 O
0.913 0.851 0.735 O
0.924 0.164 0.709 O
0.924 0.336 0.209 O
0.937 0.199 0.404 O
0.937 0.301 0.904 O
```

#b
AlSO10 | PBE | optimized geometry

```
AlSO10
1.0
7.940 0.000 0.000
0.000 10.496 0.000
-6.141 0.000 8.560
Al S O
4 4 40
Direct
0.160 0.018 0.392 Al
0.160 0.482 0.892 Al
0.840 0.518 0.108 Al
0.840 0.982 0.608 Al
0.076 0.200 0.843 S
0.076 0.300 0.343 S
0.924 0.700 0.657 S
0.924 0.800 0.157 S
0.042 0.159 0.285 O
0.042 0.341 0.785 O
0.043 0.192 0.964 O
0.043 0.308 0.464 O
0.106 0.010 0.543 O
0.106 0.490 0.043 O
0.107 0.632 0.806 O
0.107 0.868 0.306 O
0.269 0.153 0.878 O
0.269 0.347 0.378 O
0.315 0.611 0.561 O
0.315 0.889 0.061 O
0.356 0.553 0.676 O
0.356 0.947 0.176 O
0.405 0.660 0.249 O
0.405 0.840 0.749 O
0.442 0.049 0.500 O
0.442 0.451 0.000 O
0.451 0.192 0.257 O
0.451 0.308 0.757 O
0.549 0.692 0.243 O
0.549 0.808 0.743 O
0.558 0.549 0.000 O
0.558 0.951 0.500 O
0.595 0.160 0.251 O
0.595 0.340 0.751 O
0.644 0.053 0.824 O
0.644 0.447 0.324 O
0.685 0.111 0.939 O
0.685 0.389 0.439 O
0.731 0.653 0.622 O
0.731 0.847 0.122 O
0.893 0.132 0.694 O
0.893 0.368 0.194 O
0.894 0.510 0.957 O
0.894 0.990 0.457 O
0.957 0.692 0.536 O
0.957 0.808 0.036 O
0.958 0.659 0.215 O
0.958 0.841 0.715 O
```

Computed energies relative to the best structure, in eV/atom: #a 0.092; #b 0.000